An optimized crystal structure of Te2Mo3Se2S2, computed with PBE.

Results
* size of the total moment: 0.000 μB per atom
* E_tot: -59.1 eV per cell
* energy of formation from the pure elements: -64 kJ/mol of atoms

a b c (Å): 3.3505 3.3505 30.9487
angles (deg): 90.00 90.00 120.00
Space group P3m1 (No. 156)
One atom of each set of equivalent atoms:
Te (0.0000, 0.0000, 0.0000) (multiplicity 1)
Te (0.0000, 0.0000, 0.1224) (multiplicity 1)
Mo (0.0000, 0.0000, 0.8298) (multiplicity 1)
Mo (0.6667, 0.3333, 0.0612) (multiplicity 1)
Mo (0.6667, 0.3333, 0.5985) (multiplicity 1)
Se (0.6667, 0.3333, 0.7760) (multiplicity 1)
Se (0.6667, 0.3333, 0.8836) (multiplicity 1)
S (0.0000, 0.0000, 0.5495) (multiplicity 1)
S (0.0000, 0.0000, 0.6475) (multiplicity 1)



An optimized crystal structure of Te2Mo2SeS, computed with PBE.

Results
* size of the total moment: 0.000 μB per atom
* E_tot: -76.8 eV per cell
* energy of formation from the pure elements: -53 kJ/mol of atoms
* energy above the most stable polymorph in this dataset: 2.0 meV per atom

a b c (Å): 3.3991 3.3991 40.0089
angles (deg): 90.00 90.00 120.00
Space group P3m1 (No. 156)
One atom of each set of equivalent atoms:
Te (0.0000, 0.0000, 0.0000) (multiplicity 1)
Te (0.0000, 0.0000, 0.0938) (multiplicity 1)
Te (0.3333, 0.6667, 0.1900) (multiplicity 1)
Te (0.3333, 0.6667, 0.2837) (multiplicity 1)
Mo (0.0000, 0.0000, 0.2368) (multiplicity 1)
Mo (0.0000, 0.0000, 0.8602) (multiplicity 1)
Mo (0.3333, 0.6667, 0.0469) (multiplicity 1)
Mo (0.3333, 0.6667, 0.4243) (multiplicity 1)
Se (0.0000, 0.0000, 0.3831) (multiplicity 1)
Se (0.0000, 0.0000, 0.4654) (multiplicity 1)
S (0.3333, 0.6667, 0.8226) (multiplicity 1)
S (0.3333, 0.6667, 0.8977) (multiplicity 1)



An optimized crystal structure of Te2Mo2SeS, computed with PBE.

Results
* size of the total moment: 0.000 μB per atom
* E_tot: -76.8 eV per cell
* energy of formation from the pure elements: -53 kJ/mol of atoms
* energy above the most stable polymorph in this dataset: 2.6 meV per atom

a b c (Å): 3.3989 3.3989 38.6934
angles (deg): 90.00 90.00 120.00
Space group P3m1 (No. 156)
One atom of each set of equivalent atoms:
Te (0.0000, 0.0000, 0.0000) (multiplicity 1)
Te (0.0000, 0.0000, 0.0967) (multiplicity 1)
Te (0.3333, 0.6667, 0.8120) (multiplicity 1)
Te (0.3333, 0.6667, 0.9087) (multiplicity 1)
Mo (0.0000, 0.0000, 0.4847) (multiplicity 1)
Mo (0.0000, 0.0000, 0.8604) (multiplicity 1)
Mo (0.3333, 0.6667, 0.0484) (multiplicity 1)
Mo (0.3333, 0.6667, 0.6726) (multiplicity 1)
Se (0.3333, 0.6667, 0.4421) (multiplicity 1)
Se (0.3333, 0.6667, 0.5273) (multiplicity 1)
S (0.0000, 0.0000, 0.6337) (multiplicity 1)
S (0.0000, 0.0000, 0.7115) (multiplicity 1)



An optimized crystal structure of TeMo2Se2S, computed with PBE.

Results
* size of the total moment: 0.000 μB per atom
* E_tot: -78.9 eV per cell
* energy of formation from the pure elements: -64 kJ/mol of atoms

a b c (Å): 3.3436 3.3436 41.7588
angles (deg): 90.00 90.00 120.00
Space group P3m1 (No. 156)
One atom of each set of equivalent atoms:
Te (0.0000, 0.0000, 0.0000) (multiplicity 1)
Te (0.0000, 0.0000, 0.0909) (multiplicity 1)
Mo (0.0000, 0.0000, 0.2356) (multiplicity 1)
Mo (0.0000, 0.0000, 0.8550) (multiplicity 1)
Mo (0.6667, 0.3333, 0.0455) (multiplicity 1)
Mo (0.6667, 0.3333, 0.6694) (multiplicity 1)
Se (0.6667, 0.3333, 0.1957) (multiplicity 1)
Se (0.6667, 0.3333, 0.2755) (multiplicity 1)
Se (0.6667, 0.3333, 0.8151) (multiplicity 1)
Se (0.6667, 0.3333, 0.8949) (multiplicity 1)
S (0.0000, 0.0000, 0.6330) (multiplicity 1)
S (0.0000, 0.0000, 0.7057) (multiplicity 1)



An optimized crystal structure of TeMo2Se2S, computed with PBE.

Results
* size of the total moment: 0.000 μB per atom
* E_tot: -78.9 eV per cell
* energy of formation from the pure elements: -64 kJ/mol of atoms

a b c (Å): 3.3446 3.3446 38.0050
angles (deg): 90.00 90.00 120.00
Space group P3m1 (No. 156)
One atom of each set of equivalent atoms:
Te (0.0000, 0.0000, 0.0000) (multiplicity 1)
Te (0.0000, 0.0000, 0.0998) (multiplicity 1)
Mo (0.0000, 0.0000, 0.4862) (multiplicity 1)
Mo (0.0000, 0.0000, 0.8620) (multiplicity 1)
Mo (0.3333, 0.6667, 0.0499) (multiplicity 1)
Mo (0.3333, 0.6667, 0.6741) (multiplicity 1)
Se (0.3333, 0.6667, 0.4424) (multiplicity 1)
Se (0.3333, 0.6667, 0.5301) (multiplicity 1)
Se (0.3333, 0.6667, 0.8181) (multiplicity 1)
Se (0.3333, 0.6667, 0.9058) (multiplicity 1)
S (0.0000, 0.0000, 0.6342) (multiplicity 1)
S (0.0000, 0.0000, 0.7141) (multiplicity 1)



An optimized crystal structure of Te2Mo3Se2S2, computed with PBE.

Results
* size of the total moment: 0.000 μB per atom
* E_tot: -59.1 eV per cell
* energy of formation from the pure elements: -64 kJ/mol of atoms

a b c (Å): 3.3494 3.3494 30.9599
angles (deg): 90.00 90.00 120.00
Space group P3m1 (No. 156)
One atom of each set of equivalent atoms:
Te (0.0000, 0.0000, 0.0000) (multiplicity 1)
Te (0.0000, 0.0000, 0.1224) (multiplicity 1)
Mo (0.0000, 0.0000, 0.2927) (multiplicity 1)
Mo (0.0000, 0.0000, 0.8299) (multiplicity 1)
Mo (0.3333, 0.6667, 0.0612) (multiplicity 1)
Se (0.3333, 0.6667, 0.2388) (multiplicity 1)
Se (0.3333, 0.6667, 0.3465) (multiplicity 1)
S (0.3333, 0.6667, 0.7810) (multiplicity 1)
S (0.3333, 0.6667, 0.8788) (multiplicity 1)



An optimized crystal structure of Te2Mo2SeS, computed with PBE.

Results
* size of the total moment: 0.002 μB per atom
* E_tot: -76.8 eV per cell
* energy of formation from the pure elements: -53 kJ/mol of atoms
* energy above the most stable polymorph in this dataset: 0.6 meV per atom

a b c (Å): 3.4003 3.4003 38.6439
angles (deg): 90.00 90.00 120.00
Space group P3m1 (No. 156)
One atom of each set of equivalent atoms:
Te (0.0000, 0.0000, 0.0000) (multiplicity 1)
Te (0.0000, 0.0000, 0.0970) (multiplicity 1)
Te (0.0000, 0.0000, 0.3757) (multiplicity 1)
Te (0.0000, 0.0000, 0.4727) (multiplicity 1)
Mo (0.0000, 0.0000, 0.2364) (multiplicity 1)
Mo (0.0000, 0.0000, 0.8606) (multiplicity 1)
Mo (0.3333, 0.6667, 0.0485) (multiplicity 1)
Mo (0.3333, 0.6667, 0.4242) (multiplicity 1)
Se (0.3333, 0.6667, 0.8179) (multiplicity 1)
Se (0.3333, 0.6667, 0.9033) (multiplicity 1)
S (0.3333, 0.6667, 0.1975) (multiplicity 1)
S (0.3333, 0.6667, 0.2752) (multiplicity 1)



An optimized crystal structure of TeMo2Se2S, computed with PBE.

Results
* E_tot: -78.9 eV per cell
* energy of formation from the pure elements: -64 kJ/mol of atoms

a b c (Å): 3.3443 3.3443 37.9942
angles (deg): 90.00 90.00 120.00
Space group P3m1 (No. 156)
One atom of each set of equivalent atoms:
Te (0.0000, 0.0000, 0.0000) (multiplicity 1)
Te (0.0000, 0.0000, 0.0998) (multiplicity 1)
Mo (0.0000, 0.0000, 0.4863) (multiplicity 1)
Mo (0.0000, 0.0000, 0.8620) (multiplicity 1)
Mo (0.3333, 0.6667, 0.0499) (multiplicity 1)
Mo (0.3333, 0.6667, 0.6742) (multiplicity 1)
Se (0.0000, 0.0000, 0.6303) (multiplicity 1)
Se (0.0000, 0.0000, 0.7181) (multiplicity 1)
Se (0.3333, 0.6667, 0.4424) (multiplicity 1)
Se (0.3333, 0.6667, 0.5302) (multiplicity 1)
S (0.3333, 0.6667, 0.8221) (multiplicity 1)
S (0.3333, 0.6667, 0.9020) (multiplicity 1)



An optimized crystal structure of Te2Mo2SeS, computed with PBE.

Results
* size of the total moment: 0.000 μB per atom
* E_tot: -76.8 eV per cell
* energy of formation from the pure elements: -53 kJ/mol of atoms
* energy above the most stable polymorph in this dataset: 0.0 meV per atom

a b c (Å): 3.3979 3.3979 38.6255
angles (deg): 90.00 90.00 120.00
Space group P3m1 (No. 156)
One atom of each set of equivalent atoms:
Te (0.0000, 0.0000, 0.0000) (multiplicity 1)
Te (0.0000, 0.0000, 0.0969) (multiplicity 1)
Te (0.3333, 0.6667, 0.4363) (multiplicity 1)
Te (0.3333, 0.6667, 0.5333) (multiplicity 1)
Mo (0.0000, 0.0000, 0.4848) (multiplicity 1)
Mo (0.0000, 0.0000, 0.8606) (multiplicity 1)
Mo (0.3333, 0.6667, 0.0484) (multiplicity 1)
Mo (0.3333, 0.6667, 0.6727) (multiplicity 1)
Se (0.3333, 0.6667, 0.8179) (multiplicity 1)
Se (0.3333, 0.6667, 0.9032) (multiplicity 1)
S (0.0000, 0.0000, 0.6338) (multiplicity 1)
S (0.0000, 0.0000, 0.7115) (multiplicity 1)



An optimized crystal structure of Te2MoW3Se4S2, computed with PBE.

Results
* size of the total moment: 0.000 μB per atom
* E_tot: -84.1 eV per cell
* energy of formation from the pure elements: -55 kJ/mol of atoms
* energy above the most stable polymorph in this dataset: 21.8 meV per atom

a b c (Å): 3.3422 3.3422 38.0818
angles (deg): 90.00 90.00 120.00
Space group P3m1 (No. 156)
One atom of each set of equivalent atoms:
Te (0.0000, 0.0000, 0.0000) (multiplicity 1)
Te (0.0000, 0.0000, 0.1001) (multiplicity 1)
Mo (0.0000, 0.0000, 0.8621) (multiplicity 1)
W (0.0000, 0.0000, 0.2379) (multiplicity 1)
W (0.3333, 0.6667, 0.0501) (multiplicity 1)
W (0.3333, 0.6667, 0.4258) (multiplicity 1)
Se (0.0000, 0.0000, 0.3818) (multiplicity 1)
Se (0.0000, 0.0000, 0.4697) (multiplicity 1)
Se (0.3333, 0.6667, 0.8184) (multiplicity 1)
Se (0.3333, 0.6667, 0.9059) (multiplicity 1)
S (0.3333, 0.6667, 0.1979) (multiplicity 1)
S (0.3333, 0.6667, 0.2779) (multiplicity 1)



An optimized crystal structure of Te2MoWSeS, computed with PBE.

Results
* size of the total moment: 0.003 μB per atom
* E_tot: -80.2 eV per cell
* energy of formation from the pure elements: -46 kJ/mol of atoms
* energy above the most stable polymorph in this dataset: 30.3 meV per atom

a b c (Å): 3.3994 3.3994 40.0438
angles (deg): 90.00 90.00 120.00
Space group P3m1 (No. 156)
One atom of each set of equivalent atoms:
Te (0.0000, 0.0000, 0.0000) (multiplicity 1)
Te (0.0000, 0.0000, 0.0942) (multiplicity 1)
Te (0.3333, 0.6667, 0.8106) (multiplicity 1)
Te (0.3333, 0.6667, 0.9042) (multiplicity 1)
Mo (0.0000, 0.0000, 0.4825) (multiplicity 1)
Mo (0.0000, 0.0000, 0.8574) (multiplicity 1)
W (0.3333, 0.6667, 0.0471) (multiplicity 1)
W (0.3333, 0.6667, 0.6700) (multiplicity 1)
Se (0.0000, 0.0000, 0.6287) (multiplicity 1)
Se (0.0000, 0.0000, 0.7114) (multiplicity 1)
S (0.3333, 0.6667, 0.4450) (multiplicity 1)
S (0.3333, 0.6667, 0.5200) (multiplicity 1)



An optimized crystal structure of Te2MoWSeS, computed with PBE.

Results
* size of the total moment: 0.000 μB per atom
* E_tot: -80.1 eV per cell
* energy of formation from the pure elements: -45 kJ/mol of atoms
* energy above the most stable polymorph in this dataset: 36.0 meV per atom

a b c (Å): 3.3980 3.3980 39.1818
angles (deg): 90.00 90.00 120.00
Space group P3m1 (No. 156)
One atom of each set of equivalent atoms:
Te (0.0000, 0.0000, 0.0000) (multiplicity 1)
Te (0.0000, 0.0000, 0.0961) (multiplicity 1)
Te (0.3333, 0.6667, 0.8114) (multiplicity 1)
Te (0.3333, 0.6667, 0.9070) (multiplicity 1)
Mo (0.0000, 0.0000, 0.2354) (multiplicity 1)
Mo (0.0000, 0.0000, 0.8592) (multiplicity 1)
W (0.3333, 0.6667, 0.0481) (multiplicity 1)
W (0.3333, 0.6667, 0.4234) (multiplicity 1)
Se (0.0000, 0.0000, 0.3812) (multiplicity 1)
Se (0.0000, 0.0000, 0.4656) (multiplicity 1)
S (0.3333, 0.6667, 0.1971) (multiplicity 1)
S (0.3333, 0.6667, 0.2738) (multiplicity 1)



Q: Which value of energy of formation from the pure elements does entry 11 give?
A: -46 kJ/mol of atoms